GGA-PBE AlSn2O4, optimized geometry; E (MP2020) = -6.457 eV/atom; M_tot = 0.0 Bohr magnetons per cell; ΔE_f = -1.9489 eV/atom; space-group type = Fd-3m, No. 227
1.0
0.0000 4.6113 4.6113
4.6113 0.0000 4.6113
4.6113 4.6113 0.0000
Al Sn O
2 4 8
Cartesian
6.9170 6.9170 6.9170
4.6113 4.6113 4.6113
3.4585 3.4585 1.1528
1.1528 1.1528 1.1528
3.4585 1.1528 3.4585
1.1528 3.4585 3.4585
5.8649 7.9690 5.8649
3.5592 5.6634 5.6634
5.6634 5.6634 3.5592
3.5592 3.5592 3.5592
7.9690 5.8649 5.8649
5.6634 3.5592 5.6634
5.8649 5.8649 7.9690
7.9690 7.9690 7.9690